The following is a meta-GGA r2SCAN calculation of a relaxed Rb3Cu8S6 crystal, from Materials Project.

Output
For the energy of formation, the calculation gives -0.5979 eV per atom.

Lattice parameters (Å, degrees): 9.1265 9.1265 9.9512 72.47 72.47 24.39
Closest atoms and distances in Å follow each position.
Positions (direct):
Rb 0.6931 0.6931 0.7003  6 S 3.30-3.35
Rb 0.3069 0.3069 0.2997  6 S 3.30-3.35
Rb 0.5000 0.5000 0.0000  8 S 3.43-3.46, 6 Cu 3.60-3.69, 2 Rb 3.80
Cu 0.4854 0.4854 0.6385  3 S 2.33-2.35, 2 Cu 2.60
Cu 0.0874 0.0874 0.4643  3 S 2.25-2.34
Cu 0.9051 0.9051 0.7928  2 S 2.20-2.29
Cu 0.6968 0.6968 0.0892  4 S 2.37-2.44
Cu 0.3032 0.3032 0.9108  4 S 2.37-2.44
Cu 0.9126 0.9126 0.5357  3 S 2.25-2.34
Cu 0.0949 0.0949 0.2072  2 S 2.20-2.29
Cu 0.5146 0.5146 0.3615  3 S 2.33-2.35, 2 Cu 2.60
S 0.3512 0.3512 0.6530  4 Cu 2.34-2.44
S 0.1639 0.1639 0.9813  4 Cu 2.20-2.37
S 0.9605 0.9605 0.2989  4 Cu 2.25-2.33
S 0.0395 0.0395 0.7011  4 Cu 2.25-2.33
S 0.6488 0.6488 0.3470  4 Cu 2.34-2.44
S 0.8361 0.8361 0.0187  4 Cu 2.20-2.37

The following is a meta-GGA r2SCAN calculation of a relaxed RbCu4S3 crystal, from Materials Project.

Output
For the energy of formation, the calculation gives -0.5125 eV per atom.

Lattice parameters (Å, degrees): 3.8751 3.8751 9.4967 90.00 90.00 90.00
Closest atoms and distances in Å follow each position.
Positions (direct):
Rb 0.0000 0.0000 0.5000  8 S 3.41, 8 Cu 3.79
Cu 0.0000 0.5000 0.1574  4 S 2.29-2.45
Cu 0.0000 0.5000 0.8426  4 S 2.29-2.45
Cu 0.5000 0.0000 0.1574  4 S 2.29-2.45
Cu 0.5000 0.0000 0.8426  4 S 2.29-2.45
S 0.5000 0.5000 0.2857  4 Cu 2.29
S 0.5000 0.5000 0.7143  4 Cu 2.29
S 0.0000 0.0000 0.0000  8 Cu 2.45

The following is a meta-GGA r2SCAN calculation of a relaxed RbTiCu3Se4 crystal, from Materials Project.

Output
For the energy of formation, the calculation gives -0.7013 eV per atom.

Lattice parameters (Å, degrees): 6.1562 6.1562 6.1562 90.00 90.00 90.00
Closest atoms and distances in Å follow each position.
Positions (direct):
Rb 0.5000 0.5000 0.5000  4 Se 2.98
Ti 0.0000 0.0000 0.0000  4 Se 2.35
Cu 0.0000 0.5000 0.0000  4 Se 2.58
Cu 0.0000 0.0000 0.5000  4 Se 2.58
Cu 0.5000 0.0000 0.0000  4 Se 2.58
Se 0.2201 0.2201 0.2201  1 Ti 2.35, 3 Cu 2.58
Se 0.7799 0.7799 0.2201  1 Ti 2.35, 3 Cu 2.58
Se 0.2201 0.7799 0.7799  1 Ti 2.35, 3 Cu 2.58
Se 0.7799 0.2201 0.7799  1 Ti 2.35, 3 Cu 2.58